No. 1
DFT (meta-GGA r2SCAN) results for crystalline Sn3P2O8 at its relaxed geometry.

Unit cell a=11.111 b=4.846 c=16.414 alpha=90.00 beta=93.86 gamma=90.00
Space group P2_1/c (No. 14)
Symmetry-distinct sites (fractional):
Sn (0.021, 0.219, 0.363) x4
Sn (0.300, 0.744, 0.785) x4
Sn (0.355, 0.128, 0.538) x4
P (0.148, 0.693, 0.474) x4
P (0.478, 0.211, 0.852) x4
O (0.050, 0.675, 0.916) x4
O (0.125, 0.736, 0.564) x4
O (0.150, 0.118, 0.953) x4
O (0.274, 0.686, 0.960) x4
O (0.371, 0.158, 0.302) x4
O (0.400, 0.714, 0.179) x4
O (0.456, 0.602, 0.352) x4
O (0.486, 0.177, 0.441) x4

Summary:
M_tot in μB/cell: 0.00
Energy in eV/cell: -664.8

No. 2
DFT (meta-GGA r2SCAN) results for crystalline HoMg2Cu9 at its relaxed geometry.

Unit cell a=4.9438 b=4.9438 c=16.0527 alpha=90.00 beta=90.00 gamma=120.00
Space group P6_3/mmc (No. 194)
Symmetry-distinct sites (fractional):
Ho (0.3333, 0.6667, 0.2500) x2
Mg (0.3333, 0.6667, 0.0323) x4
Cu (0.0000, 0.0000, 0.0000) x2
Cu (0.0000, 0.0000, 0.2500) x2
Cu (0.1678, 0.3356, 0.6234) x12
Cu (0.3333, 0.6667, 0.7500) x2

Summary:
M_tot in μB/cell: 0.00
Energy in eV/cell: -281.8

No. 3
DFT (meta-GGA r2SCAN) results for crystalline CdPd3 at its relaxed geometry.

Unit cell a=4.008 b=4.008 c=7.957 alpha=90.00 beta=90.00 gamma=90.00
Space group I4/mmm (No. 139)
Symmetry-distinct sites (fractional):
Cd (0.000, 0.000, 0.000) x2
Pd (0.000, 0.000, 0.500) x2
Pd (0.000, 0.500, 0.250) x4

Summary:
M_tot in μB/cell: 0.00
Energy in eV/cell: -180.2

No. 4
DFT (meta-GGA r2SCAN) results for crystalline YbFeSi at its relaxed geometry.

Unit cell a=4.005 b=4.005 c=6.233 alpha=90.00 beta=90.00 gamma=90.00
Space group P4/nmm (No. 129, origin choice 2)
Symmetry-distinct sites (fractional):
Yb (0.250, 0.250, 0.189) x2
Fe (0.250, 0.750, 0.500) x2
Si (0.250, 0.250, 0.685) x2

Summary:
M_tot in μB/cell: 0.00
Energy in eV/cell: -122.7

No. 5
DFT (meta-GGA r2SCAN) results for crystalline Hf2SiH at its relaxed geometry.

Unit cell a=6.497 b=6.497 c=5.401 alpha=90.00 beta=90.00 gamma=90.00
Space group I4/mcm (No. 140)
Symmetry-distinct sites (fractional):
Hf (0.164, 0.336, 0.000) x8
Si (0.000, 0.000, 0.250) x4
H (0.000, 0.500, 0.250) x4

Summary:
M_tot in μB/cell: 0.00
Energy in eV/cell: -422.5

No. 6
DFT (meta-GGA r2SCAN) results for crystalline Ba3PuO6 at its relaxed geometry.

Unit cell a=9.091 b=9.091 c=9.091 alpha=90.00 beta=90.00 gamma=90.00
Space group Fm-3m (No. 225)
Symmetry-distinct sites (fractional):
Ba (0.000, 0.000, 0.000) x4
Ba (0.250, 0.250, 0.250) x8
Pu (0.000, 0.000, 0.500) x4
O (0.000, 0.000, 0.276) x24

Summary:
M_tot in μB/cell: 0.18
Energy in eV/cell: -921.1

Please write out number 6 again, unchanged.
DFT (meta-GGA r2SCAN) results for crystalline Ba3PuO6 at its relaxed geometry.

Unit cell a=9.091 b=9.091 c=9.091 alpha=90.00 beta=90.00 gamma=90.00
Space group Fm-3m (No. 225)
Symmetry-distinct sites (fractional):
Ba (0.000, 0.000, 0.000) x4
Ba (0.250, 0.250, 0.250) x8
Pu (0.000, 0.000, 0.500) x4
O (0.000, 0.000, 0.276) x24

Summary:
M_tot in μB/cell: 0.18
Energy in eV/cell: -921.1

> energy of number 1 (Sn3P2O8)?

-664.8 eV/cell

> Among the records above, which one has the highest M_tot?

Ba3PuO6

Please write out number 6 again, unchanged.
DFT (meta-GGA r2SCAN) results for crystalline Ba3PuO6 at its relaxed geometry.

Unit cell a=9.091 b=9.091 c=9.091 alpha=90.00 beta=90.00 gamma=90.00
Space group Fm-3m (No. 225)
Symmetry-distinct sites (fractional):
Ba (0.000, 0.000, 0.000) x4
Ba (0.250, 0.250, 0.250) x8
Pu (0.000, 0.000, 0.500) x4
O (0.000, 0.000, 0.276) x24

Summary:
M_tot in μB/cell: 0.18
Energy in eV/cell: -921.1